Below is a relaxed structure of KO, with properties calculated at the GGA-PBE level.

Properties
raw total energy	-3.713	eV/atom
formation enthalpy at 0 K	-2.05	eV per formula unit

Lattice parameters (Å, degrees): 3.7833 9.8725 4.0290 90.00 90.00 90.00
Closest atoms and distances in Å follow each position.
Space group Cmcm (No. 63)
Inequivalent atoms, fractional coordinates:
K (0.0000, 0.1299, 0.2500) x4  7 O 2.81-2.86
O (0.0000, 0.4196, 0.2500) x4  2 O 2.56, 7 K 2.81-2.86